Entry from the Materials Project database: a geometry-optimized Ga6SnTe10 structure (PBE-GGA).

Summary:
Corrected total energy (MP2020 scheme), eV per atom: -3.725

a = 10.457 Å, b = 10.457 Å, c = 10.471 Å
α = 89.86°, β = 89.86°, γ = 89.44°
Fractional coordinates of all 34 atoms:
Te: 0.245 0.562 0.320
Te: 0.672 0.071 0.570
Te: 0.681 0.441 0.750
Te: 0.917 0.498 0.083
Te: 0.831 0.830 0.831
Te: 0.071 0.571 0.671
Te: 0.082 0.918 0.500
Te: 0.502 0.083 0.917
Te: 0.824 0.999 0.170
Te: 0.321 0.243 0.563
Te: 0.331 0.428 0.929
Te: 0.429 0.929 0.329
Te: 0.929 0.328 0.430
Te: 0.170 0.169 0.169
Te: 0.757 0.679 0.437
Te: 0.001 0.176 0.830
Te: 0.438 0.755 0.680
Te: 0.572 0.669 0.071
Te: 0.174 0.826 0.000
Te: 0.559 0.319 0.250
Ga: 0.827 0.258 0.662
Ga: 0.574 0.841 0.878
Ga: 0.170 0.342 0.745
Ga: 0.344 0.744 0.171
Ga: 0.256 0.656 0.829
Ga: 0.123 0.161 0.425
Ga: 0.159 0.426 0.122
Ga: 0.839 0.877 0.575
Ga: 0.428 0.126 0.160
Ga: 0.874 0.572 0.840
Ga: 0.658 0.830 0.255
Ga: 0.742 0.173 0.338
Sn: 0.996 0.738 0.254
Sn: 0.262 0.004 0.746